Record 1
Li2CoOF3: optimized geometry, PBE with a Hubbard U. Values from VASP.

Structure (Quantum ESPRESSO input):
```
&SYSTEM
  ibrav = 0, nat = 14, ntyp = 4
/
ATOMIC_SPECIES
O 16.00 O.upf
F 19.00 F.upf
Li 6.94 Li.upf
Co 58.93 Co.upf
CELL_PARAMETERS angstrom
4.610 2.724 -0.022
-4.610 2.724 0.022
-0.299 0.000 6.025
ATOMIC_POSITIONS angstrom
O 3.552 2.296 1.758
O 3.402 3.151 4.770
F -1.199 3.260 5.650
F -1.050 2.187 2.638
F 1.445 4.033 0.589
F 1.296 1.414 3.601
F 1.052 1.180 0.728
F 0.902 4.267 3.740
Li 1.153 2.788 5.041
Li -1.952 2.820 1.113
Li -2.102 2.627 4.126
Li 1.302 2.659 2.029
Co -0.186 5.078 0.160
Co -0.335 0.369 3.172
```

---

Record 2
Li4CoO2F2: optimized geometry, PBE with a Hubbard U. Values from VASP.

Structure (Quantum ESPRESSO input):
```
&SYSTEM
  ibrav = 0, nat = 36, ntyp = 4
/
ATOMIC_SPECIES
Li 6.94 Li.upf
O 16.00 O.upf
F 19.00 F.upf
Co 58.93 Co.upf
CELL_PARAMETERS angstrom
1.677 -4.892 -3.926
-0.333 -4.418 6.408
-7.167 -1.390 -1.330
ATOMIC_POSITIONS angstrom
Li -3.378 -3.130 0.770
Li -4.498 -8.132 1.679
Li -4.909 -3.262 -1.192
Li -2.445 -7.569 0.382
Li -6.810 -7.031 2.640
Li -4.014 -6.920 -2.195
Li -5.393 -4.474 2.682
Li 1.139 -6.874 1.047
Li -6.961 -3.825 0.105
Li -0.914 -7.437 2.344
Li -2.596 -4.364 -2.153
Li -6.180 -5.058 -2.818
Li -0.430 -6.225 -1.530
Li -1.325 -2.567 -0.527
Li -1.810 -3.779 3.347
Li -3.226 -6.336 3.305
O 0.424 -1.700 -0.509
O -5.127 -3.997 0.753
O -2.663 -8.304 2.327
O -3.159 -2.395 -1.174
O -1.544 -3.302 1.418
O 0.920 -7.609 2.992
O -0.695 -6.702 0.399
O -4.279 -7.397 -0.266
F -4.453 -4.982 -1.849
F -0.083 -3.703 4.315
F -2.156 -6.301 -2.498
F 1.427 -5.607 -1.833
F -1.369 -5.717 3.002
F -3.667 -4.398 3.650
F -4.953 -6.412 2.336
F -0.869 -4.287 -1.184
Co -1.119 -5.002 0.909
Co -3.584 -0.695 -0.665
Co 0.000 0.000 0.000
Co -4.703 -5.697 0.244
```

---

Number 1: electronic total energy -0.1847 Ha/atom, volume 10.80 A^3/atom. Number 2: electronic total energy -0.1846 Ha/atom, volume 10.39 A^3/atom.